This record from the Materials Project database describes an optimized crystal structure of Li9Mn2Co5O16. The functional is PBE+U.

CIF file:
```
data_Li9Mn2Co5O16
_chemical_formula_sum 'Li9 Mn2 Co5 O16'
_symmetry_space_group_name_H-M 'P 1'
_symmetry_Int_Tables_number 1
_cell_length_a 2.9617
_cell_length_b 2.9617
_cell_length_c 38.8418
_cell_angle_alpha 91.27
_cell_angle_beta 91.27
_cell_angle_gamma 58.36
loop_
_symmetry_equiv_pos_as_xyz
'x,y,z'
loop_
_atom_site_label
_atom_site_fract_x
_atom_site_fract_y
_atom_site_fract_z
Li1 0.0000 0.0000 0.0000
Li2 0.0638 0.0638 0.1890
Li3 0.1875 0.1875 0.5624
Li4 0.3195 0.3195 0.9419
Li5 0.4384 0.4384 0.3132
Li6 0.5616 0.5616 0.6868
Li7 0.6805 0.6805 0.0581
Li8 0.8125 0.8125 0.4376
Li9 0.9362 0.9362 0.8110
Mn1 0.3730 0.3730 0.1252
Mn2 0.6270 0.6270 0.8748
Co1 0.1257 0.1257 0.3750
Co2 0.2501 0.2501 0.7498
Co3 0.5000 0.5000 0.5000
Co4 0.7499 0.7499 0.2502
Co5 0.8743 0.8743 0.6250
O1 0.0136 0.0136 0.0977
O2 0.0957 0.0957 0.2782
O3 0.1585 0.1585 0.4709
O4 0.2171 0.2171 0.6544
O5 0.2638 0.2638 0.8453
O6 0.3438 0.3438 0.0320
O7 0.4046 0.4046 0.2214
O8 0.4676 0.4676 0.4035
O9 0.5324 0.5324 0.5965
O10 0.5954 0.5954 0.7786
O11 0.6562 0.6562 0.9680
O12 0.7362 0.7362 0.1547
O13 0.7829 0.7829 0.3456
O14 0.8415 0.8415 0.5291
O15 0.9043 0.9043 0.7218
O16 0.9864 0.9864 0.9023
```

Output
The size of the total moment comes out at 0.48 μB/atom. Its energy with MP2020 corrections is -205.61 eV/cell. The calculation puts the total energy at -5.72 eV/atom. As for the formation energy: -1.731 eV per atom. Its energy above the most stable polymorph in this dataset is 0.133 eV/atom.


This record from the Materials Project database describes an optimized crystal structure of SrCa7Mn7CrO22. The functional is PBE+U.

CIF file:
```
data_SrCa7Mn7CrO22
_chemical_formula_sum 'Sr1 Ca7 Mn7 Cr1 O22'
_symmetry_space_group_name_H-M 'P 1'
_symmetry_Int_Tables_number 1
_cell_length_a 7.7189
_cell_length_b 7.7189
_cell_length_c 7.6654
_cell_angle_alpha 90.11
_cell_angle_beta 90.11
_cell_angle_gamma 90.71
loop_
_symmetry_equiv_pos_as_xyz
'x,y,z'
loop_
_atom_site_label
_atom_site_fract_x
_atom_site_fract_y
_atom_site_fract_z
Sr1 0.0000 0.0000 0.0000
Ca1 0.9996 0.4989 0.9890
Ca2 0.0011 0.0011 0.4901
Ca3 0.4967 0.9985 0.4979
Ca4 0.4976 0.4976 0.9796
Ca5 0.4989 0.9996 0.9890
Ca6 0.4992 0.4992 0.5270
Ca7 0.9985 0.4967 0.4979
Mn1 0.2501 0.2501 0.7223
Mn2 0.2498 0.7478 0.7346
Mn3 0.2545 0.7431 0.2264
Mn4 0.2556 0.2556 0.2441
Mn5 0.7431 0.2545 0.2264
Mn6 0.7478 0.2498 0.7346
Mn7 0.7493 0.7493 0.7236
Cr1 0.7406 0.7406 0.2422
O1 0.0010 0.2498 0.7033
O2 0.0033 0.2532 0.2473
O3 0.2193 0.7792 0.9783
O4 0.2461 0.4938 0.7754
O5 0.2472 0.4917 0.1734
O6 0.2498 0.0010 0.7033
O7 0.2532 0.0033 0.2473
O8 0.2827 0.7142 0.4786
O9 0.2879 0.2879 0.4803
O10 0.4917 0.2472 0.1734
O11 0.4938 0.2461 0.7754
O12 0.5040 0.7520 0.7737
O13 0.5094 0.7495 0.1714
O14 0.7078 0.7078 0.4727
O15 0.7142 0.2827 0.4786
O16 0.7445 0.9879 0.2374
O17 0.7482 0.9981 0.6980
O18 0.7495 0.5094 0.1714
O19 0.7520 0.5040 0.7737
O20 0.7792 0.2193 0.9783
O21 0.9879 0.7445 0.2374
O22 0.9981 0.7482 0.6980
```

Output
The size of the total moment comes out at 0.71 μB/atom. Its energy with MP2020 corrections is -293.01 eV/cell. The calculation puts the total energy at -6.95 eV/atom. As for the formation energy: -2.491 eV per atom. Its energy above the most stable polymorph in this dataset is 0.030 eV/atom.


This record from the Materials Project database describes an optimized crystal structure of V4HgO10. The functional is PBE+U.

CIF file:
```
data_V4HgO10
_chemical_formula_sum 'V8 Hg2 O20'
_symmetry_space_group_name_H-M 'P 1'
_symmetry_Int_Tables_number 1
_cell_length_a 11.6344
_cell_length_b 11.6344
_cell_length_c 9.8204
_cell_angle_alpha 92.23
_cell_angle_beta 92.23
_cell_angle_gamma 18.21
loop_
_symmetry_equiv_pos_as_xyz
'x,y,z'
loop_
_atom_site_label
_atom_site_fract_x
_atom_site_fract_y
_atom_site_fract_z
V1 0.1053 0.1053 0.4417
V2 0.2419 0.2419 0.2666
V3 0.3119 0.3119 0.9657
V4 0.3771 0.3771 0.3026
V5 0.6229 0.6229 0.6974
V6 0.6881 0.6881 0.0343
V7 0.7581 0.7581 0.7334
V8 0.8947 0.8947 0.5583
Hg1 0.0175 0.0175 0.1269
Hg2 0.9825 0.9825 0.8731
O1 0.0434 0.0434 0.3410
O2 0.1264 0.1264 0.6446
O3 0.1620 0.1620 0.3390
O4 0.2104 0.2104 0.0400
O5 0.2712 0.2712 0.7832
O6 0.2816 0.2816 0.4085
O7 0.3193 0.3193 0.1668
O8 0.3806 0.3806 0.9296
O9 0.3997 0.3997 0.5008
O10 0.4366 0.4366 0.2162
O11 0.5634 0.5634 0.7838
O12 0.6003 0.6003 0.4992
O13 0.6194 0.6194 0.0704
O14 0.6807 0.6807 0.8332
O15 0.7184 0.7184 0.5915
O16 0.7288 0.7288 0.2168
O17 0.7896 0.7896 0.9600
O18 0.8380 0.8380 0.6610
O19 0.8736 0.8736 0.3554
O20 0.9566 0.9566 0.6590
```

Output
The size of the total moment comes out at 0.07 μB/atom. Its energy with MP2020 corrections is -236.59 eV/cell. The calculation puts the total energy at -6.98 eV/atom. As for the formation energy: -2.145 eV per atom.


Q: The highest energy with MP2020 corrections belongs to which entry?
A: Li9Mn2Co5O16


Q: Which value of energy with MP2020 corrections does entry 3 give?
A: -236.59 eV/cell


Q: Which value of size of the total moment does entry 1 give?
A: 0.48 μB/atom